[1]
Density functional theory data (PBE-GGA) for a geometry-optimized Ca9Si4O17F structure.

Unit cell a=11.474 b=5.118 c=15.518 alpha=90.00 beta=100.71 gamma=90.00
Space group P2_1 (No. 4)
Symmetry-distinct sites (fractional):
1 Ca 0.004 0.000 0.389 (multiplicity 2)
2 Ca 0.115 0.007 0.827 (multiplicity 2)
3 Ca 0.121 0.495 0.046 (multiplicity 2)
4 Ca 0.197 0.503 0.274 (multiplicity 2)
5 Ca 0.250 0.505 0.500 (multiplicity 2)
6 Ca 0.304 0.513 0.727 (multiplicity 2)
7 Ca 0.377 0.512 0.959 (multiplicity 2)
8 Ca 0.385 0.009 0.171 (multiplicity 2)
9 Ca 0.496 0.012 0.611 (multiplicity 2)
10 Si 0.070 0.934 0.167 (multiplicity 2)
11 Si 0.182 0.934 0.611 (multiplicity 2)
12 Si 0.318 0.077 0.389 (multiplicity 2)
13 Si 0.430 0.083 0.835 (multiplicity 2)
14 O 0.022 0.308 0.918 (multiplicity 2)
15 O 0.031 0.803 0.255 (multiplicity 2)
16 O 0.071 0.255 0.166 (multiplicity 2)
17 O 0.096 0.803 0.524 (multiplicity 2)
18 O 0.137 0.802 0.697 (multiplicity 2)
19 O 0.184 0.208 0.388 (multiplicity 2)
20 O 0.184 0.255 0.612 (multiplicity 2)
21 O 0.195 0.728 0.941 (multiplicity 2)
22 O 0.201 0.802 0.161 (multiplicity 2)
23 O 0.297 0.211 0.838 (multiplicity 2)
24 O 0.316 0.756 0.388 (multiplicity 2)
25 O 0.316 0.803 0.612 (multiplicity 2)
26 O 0.363 0.208 0.303 (multiplicity 2)
27 O 0.405 0.208 0.476 (multiplicity 2)
28 O 0.431 0.762 0.838 (multiplicity 2)
29 O 0.470 0.211 0.746 (multiplicity 2)
30 O 0.482 0.718 0.080 (multiplicity 2)
31 F 0.297 0.276 0.060 (multiplicity 2)

## Properties
E: -7.1015 eV per atom
Magnetization: 1.001 μB/f.u.

***

[2]
Density functional theory data (PBE-GGA) for a geometry-optimized Ca3Ta4O12F2 structure.

Unit cell a=7.4911 b=7.4911 c=18.0036 alpha=90.00 beta=90.00 gamma=120.00
Space group R-3m (No. 166, hexagonal axes)
Symmetry-distinct sites (fractional):
1 Ca 0.0000 0.5000 0.0000 (multiplicity 9)
2 Ta 0.0000 0.0000 0.0000 (multiplicity 3)
3 Ta 0.0000 0.5000 0.5000 (multiplicity 9)
4 O 0.0739 0.5369 0.6080 (multiplicity 18)
5 O 0.0864 0.5432 0.8577 (multiplicity 18)
6 F 0.0000 0.0000 0.3625 (multiplicity 6)

## Properties
ΔE to the lowest computed polymorph: 0.380 eV per formula unit
Magnetization: 0.000 μB/f.u.

***

[3]
Density functional theory data (PBE-GGA) for a geometry-optimized Ca3Ta4O12F2 structure.

Unit cell a=10.538 b=10.538 c=10.538 alpha=90.00 beta=90.00 gamma=90.00
Space group P4_332 (No. 212)
Symmetry-distinct sites (fractional):
1 Ca 0.113 0.375 0.363 (multiplicity 12)
2 Ta 0.124 0.126 0.625 (multiplicity 12)
3 Ta 0.125 0.875 0.375 (multiplicity 4)
4 O 0.002 0.504 0.804 (multiplicity 24)
5 O 0.008 0.813 0.510 (multiplicity 24)
6 F 0.012 0.488 0.512 (multiplicity 8)

## Properties
ΔE to the lowest computed polymorph: 0.000 eV per formula unit
Magnetization: 0.000 μB/f.u.

***

[4]
Density functional theory data (PBE-GGA) for a geometry-optimized Ca2Ta2O6F structure.

Unit cell a=10.404 b=10.404 c=10.404 alpha=90.00 beta=90.00 gamma=90.00
Space group Fd-3m (No. 227, origin choice 2)
Symmetry-distinct sites (fractional):
1 Ca 0.000 0.000 0.000 (multiplicity 16)
2 Ta 0.000 0.000 0.500 (multiplicity 16)
3 O 0.085 0.375 0.875 (multiplicity 48)
4 F 0.125 0.125 0.125 (multiplicity 8)

## Properties
E: -8.4281 eV per atom
Magnetization: 0.000 μB/f.u.

***

[5]
Density functional theory data (PBE-GGA) for a geometry-optimized CaPbF6 structure.

Unit cell a=8.724 b=8.724 c=8.724 alpha=90.00 beta=90.00 gamma=90.00
Space group Fm-3m (No. 225)
Symmetry-distinct sites (fractional):
1 Ca 0.000 0.000 0.000 (multiplicity 4)
2 Pb 0.000 0.000 0.500 (multiplicity 4)
3 F 0.000 0.000 0.260 (multiplicity 24)

## Properties
E: -4.8343 eV per atom

***

[6]
Density functional theory data (PBE-GGA) for a geometry-optimized CaPdF4 structure.

Unit cell a=5.636 b=5.636 c=10.652 alpha=90.00 beta=90.00 gamma=90.00
Space group I4/mcm (No. 140)
Symmetry-distinct sites (fractional):
1 Ca 0.000 0.000 0.250 (multiplicity 4)
2 Pd 0.000 0.500 0.000 (multiplicity 4)
3 F 0.176 0.324 0.136 (multiplicity 16)

## Properties
ΔE to the lowest computed polymorph: 0.000 eV per formula unit

***

[7]
Density functional theory data (PBE-GGA) for a geometry-optimized CaPdF4 structure.

Unit cell a=5.522 b=5.531 c=5.559 alpha=90.00 beta=92.24 gamma=90.00
Space group P2_1/c (No. 14)
Symmetry-distinct sites (fractional):
1 Ca 0.000 0.000 0.000 (multiplicity 2)
2 Pd 0.500 0.000 0.500 (multiplicity 2)
3 F 0.163 0.159 0.350 (multiplicity 4)
4 F 0.333 0.676 0.316 (multiplicity 4)

## Properties
ΔE to the lowest computed polymorph: 0.404 eV per formula unit
Magnetization: 2.000 μB/f.u.

***

[8]
Density functional theory data (PBE-GGA) for a geometry-optimized CaPtF6 structure.

Unit cell a=5.4310 b=5.4310 c=14.8839 alpha=90.00 beta=90.00 gamma=120.00
Space group R-3 (No. 148, hexagonal axes)
Symmetry-distinct sites (fractional):
1 Ca 0.0000 0.0000 0.0000 (multiplicity 3)
2 Pt 0.0000 0.0000 0.5000 (multiplicity 3)
3 F 0.0162 0.7142 0.5775 (multiplicity 18)

## Properties
E: -4.7769 eV per atom

***

[9]
Density functional theory data (PBE-GGA) for a geometry-optimized RbCaF3 structure.

Unit cell a=4.517 b=4.517 c=4.517 alpha=90.00 beta=90.00 gamma=90.00
Space group Pm-3m (No. 221)
Symmetry-distinct sites (fractional):
1 Rb 0.000 0.000 0.000 (multiplicity 1)
2 Ca 0.500 0.500 0.500 (multiplicity 1)
3 F 0.000 0.500 0.500 (multiplicity 3)

## Properties
E: -5.1854 eV per atom

***

[10]
Density functional theory data (PBE-GGA) for a geometry-optimized RbCaZrF7 structure.

Unit cell a=6.992 b=11.366 c=8.662 alpha=90.00 beta=90.00 gamma=90.00
Space group Cmcm (No. 63)
Symmetry-distinct sites (fractional):
1 Rb 0.000 0.000 0.000 (multiplicity 4)
2 Ca 0.000 0.309 0.250 (multiplicity 4)
3 Zr 0.000 0.307 0.750 (multiplicity 4)
4 F 0.000 0.300 0.513 (multiplicity 8)
5 F 0.000 0.490 0.750 (multiplicity 4)
6 F 0.175 0.153 0.750 (multiplicity 8)
7 F 0.206 0.143 0.250 (multiplicity 8)

## Properties
E: -6.1253 eV per atom
Magnetization: 0.001 μB/f.u.

***

[11]
Density functional theory data (PBE-GGA) for a geometry-optimized CaSbF6 structure.

Unit cell a=5.8239 b=5.8239 c=14.9673 alpha=90.00 beta=90.00 gamma=120.00
Space group R-3 (No. 148, hexagonal axes)
Symmetry-distinct sites (fractional):
1 Ca 0.0000 0.0000 0.0000 (multiplicity 3)
2 Sb 0.0000 0.0000 0.5000 (multiplicity 3)
3 F 0.0202 0.4121 0.2458 (multiplicity 18)

## Properties
E: -5.0417 eV per atom
Magnetization: 0.981 μB/f.u.

***

[12]
Density functional theory data (PBE-GGA) for a geometry-optimized Ca10Si6F structure.

Unit cell a=7.629 b=7.629 c=14.765 alpha=90.00 beta=90.00 gamma=90.00
Space group I-42m (No. 121)
Symmetry-distinct sites (fractional):
1 Ca 0.000 0.500 0.250 (multiplicity 4)
2 Ca 0.168 0.168 0.399 (multiplicity 8)
3 Ca 0.178 0.178 0.108 (multiplicity 8)
4 Si 0.000 0.500 0.000 (multiplicity 4)
5 Si 0.112 0.112 0.752 (multiplicity 8)
6 F 0.000 0.000 0.500 (multiplicity 2)

## Properties
E: -3.9897 eV per atom

***

[13]
Density functional theory data (PBE-GGA) for a geometry-optimized CaSnF6 structure.

Unit cell a=8.534 b=8.534 c=8.534 alpha=90.00 beta=90.00 gamma=90.00
Space group Fm-3m (No. 225)
Symmetry-distinct sites (fractional):
1 Ca 0.000 0.000 0.000 (multiplicity 4)
2 Sn 0.000 0.000 0.500 (multiplicity 4)
3 F 0.000 0.000 0.266 (multiplicity 24)

## Properties
E: -5.2423 eV per atom

***

[14]
Density functional theory data (PBE-GGA) for a geometry-optimized CaSn2F6 structure.

Unit cell a=4.496 b=7.363 c=9.973 alpha=98.73 beta=101.30 gamma=92.61
Space group P-1 (No. 2)
Symmetry-distinct sites (fractional):
1 Ca 0.099 0.246 0.447 (multiplicity 2)
2 Sn 0.138 0.711 0.232 (multiplicity 2)
3 Sn 0.480 0.226 0.134 (multiplicity 2)
4 F 0.031 0.809 0.805 (multiplicity 2)
5 F 0.113 0.543 0.392 (multiplicity 2)
6 F 0.137 0.925 0.399 (multiplicity 2)
7 F 0.397 0.290 0.676 (multiplicity 2)
8 F 0.408 0.939 0.112 (multiplicity 2)
9 F 0.445 0.765 0.645 (multiplicity 2)

## Properties
E: -5.1968 eV per atom

***

[15]
Density functional theory data (PBE-GGA) for a geometry-optimized CaSnF6 structure.

Unit cell a=5.8660 b=5.8660 c=14.8198 alpha=90.00 beta=90.00 gamma=120.00
Space group R-3 (No. 148, hexagonal axes)
Symmetry-distinct sites (fractional):
1 Ca 0.0000 0.0000 0.0000 (multiplicity 3)
2 Sn 0.0000 0.0000 0.5000 (multiplicity 3)
3 F 0.0227 0.4399 0.2447 (multiplicity 18)

## Properties
E: -5.2409 eV per atom